Record 1
LaCeSi2B2O10: relaxed, GGA-PBE.

POSCAR file:
```
LaCeSi2B2O10
1.0
6.8553 0.0000 0.0000
-0.0102 6.8580 0.0000
-0.0098 -0.0382 11.9046
La Ce Si B O
3 3 6 6 30
Direct
0.0000 0.0000 0.0000
0.0004 0.5001 0.4996
0.3335 0.3969 0.7990
0.3334 0.8961 0.2990
0.6670 0.0008 0.5973
0.6667 0.5007 0.0979
0.1671 0.0075 0.5897
0.1668 0.5083 0.0903
0.5001 0.0084 0.0086
0.5005 0.5093 0.5078
0.8332 0.3812 0.7986
0.8334 0.8812 0.2987
0.0002 0.2454 0.2449
0.9999 0.7454 0.7448
0.3339 0.4077 0.2989
0.3339 0.9072 0.7989
0.6666 0.2452 0.3529
0.6668 0.7454 0.8530
0.0034 0.1721 0.5657
0.0030 0.6722 0.0657
0.0261 0.3194 0.1269
0.0262 0.8190 0.6267
0.1668 0.2807 0.3179
0.1667 0.7806 0.8178
0.3074 0.5482 0.2029
0.3081 0.0469 0.7024
0.3305 0.4628 0.9959
0.3296 0.9621 0.4945
0.3372 0.4626 0.6024
0.3382 0.9618 0.1039
0.3600 0.0474 0.8957
0.3604 0.5487 0.3951
0.5002 0.2804 0.2798
0.5004 0.7801 0.7800
0.6407 0.3199 0.4713
0.6408 0.8197 0.9716
0.6623 0.1753 0.0327
0.6627 0.6753 0.5325
0.6715 0.2609 0.7278
0.6705 0.7614 0.2281
0.6923 0.0304 0.3748
0.6926 0.5305 0.8749
0.8335 0.8374 0.7991
0.8336 0.3372 0.2991
0.9739 0.0307 0.2227
0.9737 0.5306 0.7228
0.9964 0.2625 0.8692
0.9972 0.7632 0.3687
```

E_form ... -3.394 eV per atom
E (MP2020) ... -416.582 eV for the cell shown
SG ... No. 1
Total moment ... 1.000 Bohr magnetons per cell
VASP energy ... -8.2494 eV per atom

=====

Record 2
CsTiCu3Se4: relaxed, GGA-PBE.

POSCAR file:
```
CsTiCu3Se4
1.0
6.3202 0.0000 0.0000
0.0000 6.3202 0.0000
0.0000 0.0000 6.3202
Cs Ti Cu Se
1 1 3 4
Direct
0.0000 0.0000 0.0000
0.5000 0.5000 0.5000
0.0000 0.5000 0.5000
0.5000 0.0000 0.5000
0.5000 0.5000 0.0000
0.2841 0.2841 0.7160
0.2841 0.7160 0.2841
0.7160 0.2841 0.2841
0.7160 0.7160 0.7160
```

E_form ... -0.769 eV per atom
Relative energy among the computed polymorphs ... 185 meV/atom
E (MP2020) ... -41.992 eV for the cell shown
SG ... No. 215
Total moment ... 0.002 Bohr magnetons per cell
VASP energy ... -4.4560 eV per atom

=====

Record 3
Na3N: relaxed, GGA-PBE.

POSCAR file:
```
Na3N
1.0
4.4850 0.0000 0.0000
-2.2425 3.8841 0.0000
0.0000 0.0000 4.7592
Na N
3 1
Direct
0.0000 0.0000 0.0000
0.3333 0.6667 0.5000
0.6667 0.3333 0.5000
0.0000 0.0000 0.5000
```

E_form ... 0.184 eV per atom
E (MP2020) ... -11.569 eV for the cell shown
SG ... No. 191
Total moment ... 0.000 Bohr magnetons per cell
VASP energy ... -2.8019 eV per atom

=====

Record 4
Dy3Co2Ge4: relaxed, GGA-PBE.

POSCAR file:
```
Dy3Co2Ge4
1.0
5.3075 -2.0903 0.0000
5.3075 2.0903 0.0000
-2.4345 0.0000 7.6283
Dy Co Ge
3 2 4
Direct
0.0000 0.0000 0.0000
0.3766 0.3766 0.3067
0.6234 0.6234 0.6933
0.3091 0.3091 0.6284
0.6909 0.6909 0.3716
0.0983 0.0983 0.4002
0.2900 0.2900 0.9205
0.7100 0.7100 0.0795
0.9017 0.9017 0.5998
```

E_form ... -0.719 eV per atom
SG ... No. 12
VASP energy ... -5.8893 eV per atom

=====

Record 5
SnPO4: relaxed, GGA-PBE.

POSCAR file:
```
SnPO4
1.0
8.2699 0.0000 0.0000
0.0000 18.4526 0.0000
0.0000 0.0000 4.9155
Sn P O
8 8 32
Direct
0.0538 0.2209 0.0000
0.1792 0.4495 0.9189
0.3208 0.9495 0.4189
0.4462 0.7209 0.5000
0.5538 0.2791 0.0000
0.6792 0.0505 0.9189
0.8208 0.5505 0.4189
0.9462 0.7791 0.5000
0.2290 0.5573 0.3739
0.2488 0.8375 0.8874
0.2512 0.3375 0.3874
0.2710 0.0573 0.8739
0.7290 0.9427 0.3739
0.7488 0.6625 0.8874
0.7512 0.1625 0.3874
0.7710 0.4427 0.8739
0.0502 0.5470 0.2631
0.0810 0.8517 0.7622
0.1191 0.3845 0.2355
0.1726 0.0071 0.6797
0.1990 0.2576 0.3673
0.2182 0.1362 0.8669
0.2423 0.5307 0.6705
0.2453 0.8616 0.1955
0.2547 0.3616 0.6955
0.2577 0.0307 0.1705
0.2818 0.6362 0.3669
0.3010 0.7576 0.8673
0.3274 0.5071 0.1797
0.3809 0.8845 0.7355
0.4190 0.3517 0.2622
0.4498 0.0470 0.7631
0.5502 0.9530 0.2631
0.5810 0.6483 0.7622
0.6191 0.1155 0.2355
0.6726 0.4929 0.6797
0.6990 0.2424 0.3673
0.7182 0.3638 0.8669
0.7423 0.9693 0.6705
0.7453 0.6384 0.1955
0.7547 0.1384 0.6955
0.7577 0.4693 0.1705
0.7818 0.8638 0.3669
0.8010 0.7424 0.8673
0.8274 0.9929 0.1797
0.8809 0.6155 0.7355
0.9190 0.1483 0.2622
0.9498 0.4530 0.7631
```

E_form ... -2.353 eV per atom
E (MP2020) ... -346.685 eV for the cell shown
SG ... No. 33
Total moment ... 0.000 Bohr magnetons per cell
VASP energy ... -6.7646 eV per atom

=====

Record 6
Sr3Sc2Ge3O12: relaxed, GGA-PBE.

POSCAR file:
```
Sr3Sc2Ge3O12
1.0
-6.4759 6.4759 6.4759
6.4759 -6.4759 6.4759
6.4759 6.4759 -6.4759
Sr Sc Ge O
12 8 12 48
Direct
0.1250 0.2500 0.3750
0.1250 0.3750 0.7500
0.2500 0.3750 0.1250
0.2500 0.8750 0.6250
0.3750 0.1250 0.2500
0.3750 0.7500 0.1250
0.6250 0.2500 0.8750
0.6250 0.8750 0.7500
0.7500 0.1250 0.3750
0.7500 0.6250 0.8750
0.8750 0.6250 0.2500
0.8750 0.7500 0.6250
0.0000 0.0000 0.0000
0.0000 0.0000 0.5000
0.0000 0.5000 0.0000
0.0000 0.5000 0.5000
0.5000 0.0000 0.0000
0.5000 0.0000 0.5000
0.5000 0.5000 0.0000
0.5000 0.5000 0.5000
0.1250 0.7500 0.8750
0.1250 0.8750 0.2500
0.2500 0.1250 0.8750
0.2500 0.6250 0.3750
0.3750 0.2500 0.6250
0.3750 0.6250 0.7500
0.6250 0.3750 0.2500
0.6250 0.7500 0.3750
0.7500 0.3750 0.6250
0.7500 0.8750 0.1250
0.8750 0.1250 0.7500
0.8750 0.2500 0.1250
0.0091 0.2001 0.1152
0.0091 0.3090 0.8939
0.0849 0.7001 0.6910
0.0849 0.8848 0.3939
0.1061 0.6152 0.4151
0.1061 0.9909 0.6910
0.1152 0.0091 0.2001
0.1152 0.6061 0.9151
0.1910 0.2001 0.5849
0.1910 0.4909 0.6061
0.2001 0.1152 0.0091
0.2001 0.5849 0.1910
0.2999 0.3090 0.9151
0.2999 0.4909 0.3848
0.3090 0.8939 0.0091
0.3090 0.9151 0.2999
0.3848 0.2999 0.4909
0.3848 0.5849 0.8939
0.3939 0.0849 0.8848
0.3939 0.8090 0.5091
0.4151 0.1061 0.6152
0.4151 0.8090 0.7999
0.4909 0.3848 0.2999
0.4909 0.6061 0.1910
0.5091 0.3939 0.8090
0.5091 0.6152 0.7001
0.5849 0.1910 0.2001
0.5849 0.8939 0.3848
0.6061 0.1910 0.4909
0.6061 0.9151 0.1152
0.6152 0.4151 0.1061
0.6152 0.7001 0.5091
0.6910 0.0849 0.7001
0.6910 0.1061 0.9909
0.7001 0.5091 0.6152
0.7001 0.6910 0.0849
0.7999 0.4151 0.8090
0.7999 0.8848 0.9909
0.8090 0.5091 0.3939
0.8090 0.7999 0.4151
0.8848 0.3939 0.0849
0.8848 0.9909 0.7999
0.8939 0.0091 0.3090
0.8939 0.3848 0.5849
0.9151 0.1152 0.6061
0.9151 0.2999 0.3090
0.9909 0.6910 0.1061
0.9909 0.7999 0.8848
```

E_form ... -3.074 eV per atom
E (MP2020) ... -609.867 eV for the cell shown
SG ... No. 230
Total moment ... 0.002 Bohr magnetons per cell
VASP energy ... -7.2111 eV per atom

=====

Record 7
DySnRu2: relaxed, GGA-PBE.

POSCAR file:
```
DySnRu2
1.0
0.0000 3.3059 3.3059
3.3059 0.0000 3.3059
3.3059 3.3059 0.0000
Dy Sn Ru
1 1 2
Direct
0.0000 0.0000 0.0000
0.5000 0.5000 0.5000
0.2500 0.2500 0.2500
0.7500 0.7500 0.7500
```

E_form ... -0.358 eV per atom
SG ... No. 225
VASP energy ... -7.1488 eV per atom

=====

Record 8
Ni5Ge3: relaxed, GGA-PBE.

POSCAR file:
```
Ni5Ge3
1.0
5.4441 -3.3608 0.0000
5.4441 3.3608 0.0000
-3.3326 0.0000 5.4228
Ni Ge
10 6
Direct
0.0073 0.6519 0.1739
0.0731 0.0731 0.3973
0.1740 0.4833 0.6580
0.2535 0.2326 0.2370
0.3481 0.9927 0.8261
0.4412 0.4063 0.0994
0.5167 0.8260 0.3420
0.5937 0.5588 0.9006
0.7674 0.7465 0.7630
0.9269 0.9269 0.6027
0.1559 0.8441 0.0000
0.3777 0.6223 0.5000
0.5464 0.1576 0.7053
0.6713 0.0193 0.1999
0.8424 0.4536 0.2947
0.9807 0.3287 0.8001
```

E_form ... -0.310 eV per atom
SG ... No. 5
Total moment ... 0.010 Bohr magnetons per cell
VASP energy ... -5.6565 eV per atom

=====

Q: Which formula does entry 8 have?
A: Ni5Ge3